No. 1
Mg6NbCo | PBE | relaxed

abc: 4.8189 5.7980 10.9718
angles: 90.00 90.00 90.00
Element x y z (fractional)
Mg (0.5000, 0.2512, 0.4269)
Mg (0.5000, 0.7488, 0.4269)
Mg (0.0000, 0.7495, 0.0841)
Mg (0.0000, 0.2505, 0.0841)
Mg (0.0000, 0.0000, 0.3073)
Mg (0.0000, 0.5000, 0.3270)
Mg (0.5000, 0.7512, 0.9269)
Mg (0.5000, 0.2488, 0.9269)
Mg (0.0000, 0.2495, 0.5841)
Mg (0.0000, 0.7505, 0.5841)
Mg (0.0000, 0.5000, 0.8073)
Mg (0.0000, 0.0000, 0.8270)
Nb (0.5000, 0.5000, 0.1789)
Nb (0.5000, 0.0000, 0.6789)
Co (0.5000, 0.0000, 0.1648)
Co (0.5000, 0.5000, 0.6648)

Distance to the lowest polymorph of the same formula: 0.498 eV per formula unit
Uncorrected energy: -49.714 eV for the cell shown
Energy of formation from the pure elements: 0.24 eV/atom

=====

No. 2
MgCoNi | PBE | relaxed

abc: 7.7522 4.8762 4.8762
angles: 58.89 90.00 90.00
Element x y z (fractional)
Mg (0.1852, 0.0000, 0.0000)
Mg (0.3124, 0.3333, 0.3333)
Mg (0.6876, 0.3333, 0.3333)
Mg (0.8148, 0.0000, 0.0000)
Co (0.2549, 0.6615, 0.6615)
Co (0.5000, 0.3259, 0.8449)
Co (0.5000, 0.8449, 0.3259)
Co (0.7451, 0.6615, 0.6615)
Ni (0.0000, 0.0059, 0.4975)
Ni (0.0000, 0.4975, 0.0059)
Ni (0.0000, 0.4978, 0.4978)
Ni (0.5000, 0.8397, 0.8397)

Symmetry: No. 38
Uncorrected energy: -59.431 eV for the cell shown
Energy of formation from the pure elements: -0.12 eV/atom

=====

No. 3
MgCo2Ni4S8 | PBE | relaxed

abc: 6.6553 6.6553 6.8780
angles: 118.57 118.57 60.09
Element x y z (fractional)
Mg (0.0000, 0.0000, 0.0000)
Co (0.5000, 0.5000, 0.0000)
Co (0.5000, 0.5000, 0.5000)
Ni (0.0000, 0.5000, 0.0000)
Ni (0.1401, 0.1401, 0.4197)
Ni (0.5000, 0.0000, 0.0000)
Ni (0.8599, 0.8599, 0.5803)
S (0.2644, 0.2644, 0.2563)
S (0.2672, 0.2672, 0.7970)
S (0.2674, 0.7220, 0.2508)
S (0.2780, 0.7326, 0.7492)
S (0.7220, 0.2674, 0.2508)
S (0.7326, 0.2780, 0.7492)
S (0.7328, 0.7328, 0.2030)
S (0.7356, 0.7356, 0.7437)

Corrected total energy (MP2020 scheme): -82.2 eV for the cell shown
Symmetry: No. 12
Uncorrected energy: -78.137 eV for the cell shown
Energy of formation from the pure elements: -0.68 eV/atom

=====

No. 4
YMgCo2Ni2 | PBE | relaxed

abc: 4.9292 4.9292 4.9292
angles: 120.80 119.80 89.48
Element x y z (fractional)
Y (0.0000, 0.0000, 0.0000)
Mg (0.2526, 0.7526, 0.5000)
Co (0.6251, 0.3749, 0.7499)
Co (0.6251, 0.8752, 0.2501)
Ni (0.1293, 0.3769, 0.7524)
Ni (0.6245, 0.3769, 0.2476)

Symmetry: No. 44
Uncorrected energy: -35.290 eV for the cell shown
Energy of formation from the pure elements: -0.24 eV/atom

=====

No. 5
MgCo6P4 | PBE | relaxed

abc: 3.5638 6.4670 6.4670
angles: 68.11 90.00 90.00
Element x y z (fractional)
Mg (0.0000, 0.0000, 0.0000)
Co (0.0000, 0.1478, 0.6056)
Co (0.0000, 0.6056, 0.1478)
Co (0.0000, 0.7165, 0.7165)
Co (0.5000, 0.3611, 0.3611)
Co (0.5000, 0.3785, 0.7650)
Co (0.5000, 0.7650, 0.3785)
P (0.0000, 0.5075, 0.5075)
P (0.5000, 0.1601, 0.1601)
P (0.5000, 0.5778, 0.9754)
P (0.5000, 0.9754, 0.5778)

Distance to the lowest polymorph of the same formula: 3.674 eV per formula unit
Symmetry: No. 38
Uncorrected energy: -69.214 eV for the cell shown
Energy of formation from the pure elements: -0.30 eV/atom

=====

No. 6
Mg2Co12P7 | PBE | relaxed

abc: 8.9681 8.9681 3.4678
angles: 90.00 90.00 120.00
Element x y z (fractional)
Mg (0.0000, 0.0000, 0.0000)
Mg (0.3333, 0.6667, 0.5000)
Co (0.0486, 0.7755, 0.5000)
Co (0.1098, 0.3997, 0.0000)
Co (0.2245, 0.2731, 0.5000)
Co (0.2899, 0.8902, 0.0000)
Co (0.3922, 0.2120, 0.0000)
Co (0.5328, 0.0940, 0.5000)
Co (0.5612, 0.4672, 0.5000)
Co (0.6003, 0.7101, 0.0000)
Co (0.7269, 0.9514, 0.5000)
Co (0.7880, 0.1803, 0.0000)
Co (0.8197, 0.6078, 0.0000)
Co (0.9060, 0.4388, 0.5000)
P (0.0726, 0.6237, 0.0000)
P (0.2612, 0.0410, 0.5000)
P (0.3763, 0.4489, 0.0000)
P (0.5511, 0.9274, 0.0000)
P (0.6667, 0.3333, 0.0000)
P (0.7798, 0.7388, 0.5000)
P (0.9590, 0.2202, 0.5000)

Symmetry: No. 174
Uncorrected energy: -139.526 eV for the cell shown
Energy of formation from the pure elements: -0.63 eV/atom

=====

No. 7
MgCo6P4 | PBE | relaxed

abc: 6.5713 6.5713 3.3588
angles: 90.00 90.00 120.00
Element x y z (fractional)
Mg (0.0000, 0.0000, 0.0000)
Co (0.0699, 0.5349, 0.0000)
Co (0.3975, 0.1987, 0.5000)
Co (0.4651, 0.5349, 0.0000)
Co (0.4651, 0.9301, 0.0000)
Co (0.8013, 0.1987, 0.5000)
Co (0.8013, 0.6026, 0.5000)
P (0.1872, 0.3745, 0.5000)
P (0.1872, 0.8128, 0.5000)
P (0.6255, 0.8128, 0.5000)
P (0.6667, 0.3333, 0.0000)

Distance to the lowest polymorph of the same formula: 0.000 eV per formula unit
Symmetry: No. 187
Uncorrected energy: -72.888 eV for the cell shown
Energy of formation from the pure elements: -0.63 eV/atom

=====

No. 8
Pr4Mg3Co2 | PBE | relaxed

abc: 7.6856 3.8563 8.3465
angles: 90.00 109.83 90.00
Element x y z (fractional)
Pr (0.0965, 0.0000, 0.2253)
Pr (0.3969, 0.0000, 0.6828)
Pr (0.6031, 0.0000, 0.3172)
Pr (0.9035, 0.0000, 0.7747)
Mg (0.0000, 0.5000, 0.5000)
Mg (0.2947, 0.5000, 0.0016)
Mg (0.7053, 0.5000, 0.9984)
Co (0.3534, 0.5000, 0.3962)
Co (0.6466, 0.5000, 0.6038)

Symmetry: No. 10
Uncorrected energy: -38.966 eV for the cell shown
Energy of formation from the pure elements: -0.09 eV/atom

=====

No. 9
RbMg14Co | PBE | relaxed

abc: 6.3921 6.3921 10.6848
angles: 90.00 90.00 120.00
Element x y z (fractional)
Rb (0.0000, 0.0000, 0.0000)
Mg (0.0065, 0.5033, 0.0000)
Mg (0.1627, 0.3254, 0.2839)
Mg (0.1627, 0.3254, 0.7161)
Mg (0.1627, 0.8373, 0.2839)
Mg (0.1627, 0.8373, 0.7161)
Mg (0.4967, 0.5033, 0.0000)
Mg (0.4967, 0.9935, 0.0000)
Mg (0.5056, 0.0112, 0.5000)
Mg (0.5056, 0.4944, 0.5000)
Mg (0.6667, 0.3333, 0.2397)
Mg (0.6667, 0.3333, 0.7603)
Mg (0.6746, 0.8373, 0.2839)
Mg (0.6746, 0.8373, 0.7161)
Mg (0.9888, 0.4944, 0.5000)
Co (0.0000, 0.0000, 0.5000)

Distance to the lowest polymorph of the same formula: 0.227 eV per formula unit
Symmetry: No. 187
Uncorrected energy: -26.878 eV for the cell shown
Energy of formation from the pure elements: 0.23 eV/atom

=====

No. 10
RbMg14Co | PBE | relaxed

abc: 10.3961 6.5444 6.5444
angles: 58.70 90.00 90.00
Element x y z (fractional)
Rb (0.0000, 0.0000, 0.0000)
Mg (0.0000, 0.0088, 0.4919)
Mg (0.0000, 0.4919, 0.0088)
Mg (0.2208, 0.6287, 0.6287)
Mg (0.2546, 0.1489, 0.6264)
Mg (0.2546, 0.6264, 0.1489)
Mg (0.2727, 0.1453, 0.1453)
Mg (0.5000, 0.4761, 0.4761)
Mg (0.5000, 0.4815, 0.9701)
Mg (0.5000, 0.9701, 0.4815)
Mg (0.5000, 0.9713, 0.9713)
Mg (0.7273, 0.1453, 0.1453)
Mg (0.7454, 0.1489, 0.6264)
Mg (0.7454, 0.6264, 0.1489)
Mg (0.7792, 0.6287, 0.6287)
Co (0.0000, 0.4408, 0.4408)

Distance to the lowest polymorph of the same formula: 0.000 eV per formula unit
Symmetry: No. 38
Uncorrected energy: -27.105 eV for the cell shown
Energy of formation from the pure elements: 0.21 eV/atom

=====

No. 11
MgCo4S8 | PBE | relaxed

abc: 6.8317 6.8317 6.7818
angles: 119.41 119.41 60.79
Element x y z (fractional)
Mg (0.0000, 0.0000, 0.0000)
Co (0.3800, 0.8741, 0.6254)
Co (0.3810, 0.3810, 0.1344)
Co (0.3815, 0.3815, 0.6237)
Co (0.8741, 0.3800, 0.6254)
S (0.1465, 0.1465, 0.8605)
S (0.1466, 0.1466, 0.4290)
S (0.1471, 0.5758, 0.8595)
S (0.1778, 0.6140, 0.3939)
S (0.5758, 0.1471, 0.8595)
S (0.6102, 0.6102, 0.3963)
S (0.6113, 0.6113, 0.8235)
S (0.6140, 0.1778, 0.3939)

Distance to the lowest polymorph of the same formula: 0.095 eV per formula unit
Corrected total energy (MP2020 scheme): -72.7 eV for the cell shown
Symmetry: No. 8
Uncorrected energy: -68.709 eV for the cell shown
Energy of formation from the pure elements: -0.74 eV/atom

=====

No. 12
MgCoS2 | PBE | relaxed

abc: 6.2117 6.2117 6.2117
angles: 32.78 32.78 32.78
Element x y z (fractional)
Mg (0.0000, 0.0000, 0.0000)
Co (0.1648, 0.1648, 0.1648)
S (0.5701, 0.5701, 0.5701)
S (0.7647, 0.7647, 0.7647)

Corrected total energy (MP2020 scheme): -20.3 eV for the cell shown
Symmetry: No. 160
Uncorrected energy: -19.280 eV for the cell shown
Energy of formation from the pure elements: -0.83 eV/atom